Here is BaNaSmMnO6 after structural relaxation from the Materials Project database. Energies are from PBE+U.

a b c (Å): 5.9361 5.9361 5.9361
angles (deg): 60.00 60.00 60.00
Fractional positions:
Na  0.2500  0.2500  0.2500
O  0.7722  0.7722  0.2278
Ba  0.7500  0.7500  0.7500
O  0.7722  0.2278  0.7722
O  0.2278  0.7722  0.7722
O  0.7722  0.2278  0.2278
O  0.2278  0.7722  0.2278
Mn  0.0000  0.0000  0.0000
Sm  0.5000  0.5000  0.5000
O  0.2278  0.2278  0.7722

The formation energy comes out at -2340 meV/atom. The volume is 147.9 Å³/cell. Its raw total energy is -6.4423 eV per atom. The calculation puts the MP2020-corrected energy at -7.021 eV per atom.

=====

Here is BaNaSrMnO6 after structural relaxation from the Materials Project database. Energies are from PBE+U.

a b c (Å): 5.8352 5.8352 5.8352
angles (deg): 60.00 60.00 60.00
Fractional positions:
Na  0.5000  0.5000  0.5000
O  0.2289  0.7711  0.7711
O  0.7711  0.2289  0.7711
O  0.7711  0.7711  0.2289
Mn  0.0000  0.0000  0.0000
Ba  0.7500  0.7500  0.7500
O  0.2289  0.2289  0.7711
O  0.2289  0.7711  0.2289
O  0.7711  0.2289  0.2289
Sr  0.2500  0.2500  0.2500

The formation energy comes out at -2039 meV/atom. The volume is 140.5 Å³/cell. Its raw total energy is -5.8383 eV per atom. The calculation puts the MP2020-corrected energy at -6.417 eV per atom.

=====

Here is Ba6Na2Ta2Mn2O17 after structural relaxation from the Materials Project database. Energies are from PBE+U.

a b c (Å): 5.9810 5.9810 30.3812
angles (deg): 90.00 90.00 120.00
Fractional positions:
Ba  0.0000  0.0000  0.7500
Ba  0.3333  0.6667  0.5901
O  0.3552  0.1776  0.5725
Ba  0.6667  0.3333  0.8197
Ta  0.3333  0.6667  0.7983
Ba  0.3333  0.6667  0.9099
O  0.8224  0.1776  0.9275
O  0.1776  0.8224  0.4275
Na  0.0000  0.0000  0.1249
O  0.6502  0.8251  0.8302
Ta  0.3333  0.6667  0.7017
Ta  0.6667  0.3333  0.2983
O  0.5155  0.4845  0.2500
O  0.8224  0.1776  0.5725
Ta  0.6667  0.3333  0.2017
Mn  0.3333  0.6667  0.4480
O  0.8224  0.6448  0.5725
O  0.1776  0.8224  0.0725
O  0.8224  0.6448  0.9275
O  0.1776  0.3552  0.0725
Na  0.0000  0.0000  0.8751
Mn  0.6667  0.3333  0.5520
Na  0.0000  0.0000  0.6249
O  0.1749  0.3498  0.6698
Ba  0.6667  0.3333  0.6803
O  0.6667  0.3333  0.0038
O  0.3498  0.1749  0.1698
O  0.3498  0.1749  0.3302
O  0.3333  0.6667  0.5038
Ba  0.0000  0.0000  0.2500
O  0.1749  0.8251  0.8302
O  0.6502  0.8251  0.6698
O  0.6667  0.3333  0.4962
O  0.4845  0.5155  0.7500
Ba  0.3333  0.6667  0.3197
O  0.4845  0.9690  0.7500
O  0.8251  0.1749  0.1698
Na  0.0000  0.0000  0.3751
O  0.3552  0.1776  0.9275
O  0.3333  0.6667  0.9962
O  0.6448  0.8224  0.4275
O  0.1749  0.8251  0.6698
O  0.8251  0.6502  0.1698
O  0.0310  0.5155  0.7500
O  0.1776  0.3552  0.4275
Ba  0.0000  0.0000  0.0000
O  0.9690  0.4845  0.2500
Mn  0.3333  0.6667  0.0520
O  0.5155  0.0310  0.2500
O  0.6448  0.8224  0.0725
O  0.8251  0.6502  0.3302
O  0.8251  0.1749  0.3302
Ba  0.0000  0.0000  0.5000
O  0.1749  0.3498  0.8302
Ba  0.3333  0.6667  0.1803
Ba  0.6667  0.3333  0.4099
Mn  0.6667  0.3333  0.9480
Ba  0.6667  0.3333  0.0901

The formation energy comes out at -2814 meV/atom. The volume is 941.2 Å³/cell. Its raw total energy is -7.1342 eV per atom. The calculation puts the MP2020-corrected energy at -7.652 eV per atom.

=====

Here is BaMnNb4O12 after structural relaxation from the Materials Project database. Energies are from PBE+U.

a b c (Å): 5.6076 5.6076 7.9981
angles (deg): 90.00 90.00 91.46
Fractional positions:
Ba  0.5239  0.4761  0.5000
O  0.5806  0.0304  0.0000
Nb  0.0177  0.4906  0.7564
O  0.7810  0.2190  0.2791
O  0.2866  0.2974  0.2405
O  0.0310  0.5378  0.5000
O  0.1875  0.8125  0.8116
O  0.7026  0.7134  0.7595
O  0.2866  0.2974  0.7595
O  0.7810  0.2190  0.7209
O  0.9696  0.4194  0.0000
Nb  0.5094  0.9823  0.7564
Nb  0.5094  0.9823  0.2436
O  0.7026  0.7134  0.2405
Mn  0.9808  0.0192  0.0000
O  0.4622  0.9690  0.5000
Nb  0.0177  0.4906  0.2436
O  0.1875  0.8125  0.1884

The formation energy comes out at -2914 meV/atom. The volume is 251.4 Å³/cell. Its raw total energy is -8.5220 eV per atom. The calculation puts the MP2020-corrected energy at -9.073 eV per atom.

=====

Here is Ba2MnNbO6 after structural relaxation from the Materials Project database. Energies are from PBE+U.

a b c (Å): 5.9092 11.7714 8.0814
angles (deg): 90.00 90.00 90.04
Fractional positions:
O  0.2774  0.3755  0.7500
O  0.7176  0.1182  0.2500
Mn  0.4897  0.9990  0.7500
O  0.7225  0.8753  0.7500
O  0.2310  0.1236  0.2500
O  0.7309  0.6263  0.7500
Mn  0.0109  0.2510  0.2500
O  0.9816  0.7505  0.4975
Ba  0.4895  0.7504  0.9996
Nb  0.9866  0.7497  0.7500
Ba  0.5106  0.2504  0.9996
Mn  0.9893  0.7510  0.2500
Nb  0.4865  0.0003  0.2500
Nb  0.0136  0.2497  0.7500
Ba  0.9896  0.9997  0.0004
O  0.2907  0.3783  0.2500
O  0.7826  0.1317  0.7500
O  0.7776  0.3746  0.2500
Ba  0.9896  0.9997  0.4996
O  0.2692  0.1264  0.7500
Ba  0.5106  0.2504  0.5004
O  0.7688  0.6238  0.2500
Ba  0.4895  0.7504  0.5004
O  0.0185  0.2506  0.4975
O  0.9816  0.7505  0.0025
O  0.0185  0.2506  0.0025
Nb  0.5133  0.5003  0.2500
O  0.4817  0.9994  0.9975
O  0.7092  0.8785  0.2500
O  0.2175  0.6320  0.7500
O  0.5182  0.4995  0.5025
O  0.2224  0.8745  0.2500
O  0.2823  0.6179  0.2500
O  0.5182  0.4995  0.9975
O  0.4817  0.9994  0.5025
O  0.2094  0.8716  0.7500
Ba  0.0103  0.4996  0.0004
Mn  0.5102  0.4992  0.7500
Ba  0.0103  0.4996  0.4996
O  0.7908  0.3714  0.7500

The formation energy comes out at -2964 meV/atom. The volume is 562.1 Å³/cell. Its raw total energy is -7.6634 eV per atom. The calculation puts the MP2020-corrected energy at -8.242 eV per atom.

=====

Here is Ba2MnNbO6 after structural relaxation from the Materials Project database. Energies are from PBE+U.

a b c (Å): 5.8240 5.8240 5.8240
angles (deg): 60.00 60.00 60.00
Fractional positions:
O  0.7536  0.7536  0.2464
Mn  0.5000  0.5000  0.5000
O  0.2464  0.7536  0.7536
O  0.7536  0.2464  0.7536
O  0.2464  0.2464  0.7536
O  0.2464  0.7536  0.2464
O  0.7536  0.2464  0.2464
Ba  0.7500  0.7500  0.7500
Nb  0.0000  0.0000  0.0000
Ba  0.2500  0.2500  0.2500

The formation energy comes out at -2941 meV/atom. The volume is 139.7 Å³/cell. Its raw total energy is -7.6406 eV per atom. The calculation puts the MP2020-corrected energy at -8.220 eV per atom.